A plane-wave DFT calculation with PBE was carried out for an optimized crystal structure of Mg14TiNi.

abc: 6.2633 6.2633 9.9757
angles: 90.00 90.00 120.00
Sites, in units of the cell vectors:
Mg: 0.8502 0.1751 0.8824
Mg: 0.8333 0.6667 0.8702
Mg: 0.3249 0.1751 0.8824
Mg: 0.8333 0.6667 0.3798
Mg: 0.3249 0.1751 0.3676
Mg: 0.6681 0.3362 0.1250
Mg: 0.8502 0.1751 0.3676
Mg: 0.1638 0.8319 0.1250
Mg: 0.6681 0.8319 0.1250
Mg: 0.6632 0.8368 0.6250
Mg: 0.1736 0.8368 0.6250
Mg: 0.6632 0.3264 0.6250
Mg: 0.3249 0.6498 0.8824
Mg: 0.3249 0.6498 0.3676
Ni: 0.1667 0.3333 0.1250
Ti: 0.1667 0.3333 0.6250

## Properties
crystal system: hexagonal
energy of formation: 71 meV per atom
raw total energy: -2.184 eV per atom


A plane-wave DFT calculation with PBE was carried out for an optimized crystal structure of Mg14TiNi.

abc: 6.2880 6.1757 9.9713
angles: 90.00 90.00 119.41
Sites, in units of the cell vectors:
Mg: 0.6610 0.8222 0.1250
Mg: 0.3276 0.1667 0.3588
Mg: 0.3276 0.6609 0.3588
Mg: 0.6639 0.8343 0.6250
Mg: 0.6610 0.3388 0.1250
Mg: 0.3276 0.1667 0.8912
Mg: 0.6639 0.3296 0.6250
Mg: 0.1704 0.8352 0.6250
Mg: 0.3276 0.6609 0.8912
Mg: 0.8497 0.1748 0.8923
Mg: 0.8405 0.6702 0.8744
Mg: 0.8405 0.6702 0.3756
Mg: 0.8497 0.1748 0.3577
Mg: 0.1669 0.3335 0.6250
Ni: 0.1720 0.3360 0.1250
Ti: 0.1500 0.8250 0.1250

## Properties
crystal system: orthorhombic
energy of formation: 60 meV per atom
raw total energy: -2.195 eV per atom


A plane-wave DFT calculation with PBE was carried out for an optimized crystal structure of Mg6TiNi.

abc: 4.7611 6.0252 10.8965
angles: 90.00 90.00 90.00
Sites, in units of the cell vectors:
Mg: 0.0000 0.0000 0.3279
Mg: 0.0000 0.2589 0.0841
Mg: 0.5000 0.7577 0.9221
Mg: 0.5000 0.2577 0.4221
Mg: 0.5000 0.5000 0.6675
Mg: 0.0000 0.7589 0.5841
Mg: 0.0000 0.2411 0.5841
Mg: 0.5000 0.2423 0.9221
Mg: 0.0000 0.5000 0.8279
Mg: 0.5000 0.0000 0.1675
Mg: 0.5000 0.7423 0.4221
Mg: 0.0000 0.7411 0.0841
Ti: 0.5000 0.0000 0.6898
Ti: 0.5000 0.5000 0.1898
Ni: 0.0000 0.5000 0.3025
Ni: 0.0000 0.0000 0.8025

## Properties
energy of formation: 85 meV per atom
raw total energy: -2.825 eV per atom


A plane-wave DFT calculation with PBE was carried out for an optimized crystal structure of Tm4MgNi.

abc: 9.4673 9.4673 9.4673
angles: 60.00 60.00 60.00
Sites, in units of the cell vectors:
Tm: 0.4363 0.0637 0.4363
Tm: 0.1853 0.8147 0.1853
Tm: 0.0637 0.0637 0.4363
Tm: 0.2096 0.5968 0.5968
Tm: 0.1853 0.8147 0.8147
Tm: 0.4363 0.4363 0.0637
Tm: 0.5968 0.5968 0.5968
Tm: 0.1853 0.1853 0.8147
Tm: 0.8147 0.1853 0.8147
Tm: 0.8147 0.1853 0.1853
Tm: 0.5968 0.2096 0.5968
Tm: 0.4363 0.0637 0.0637
Tm: 0.8147 0.8147 0.1853
Tm: 0.0637 0.4363 0.0637
Tm: 0.5968 0.5968 0.2096
Tm: 0.0637 0.4363 0.4363
Mg: 0.8298 0.8298 0.5106
Mg: 0.5106 0.8298 0.8298
Mg: 0.8298 0.5106 0.8298
Mg: 0.8298 0.8298 0.8298
Ni: 0.3923 0.8230 0.3923
Ni: 0.3923 0.3923 0.8230
Ni: 0.8230 0.3923 0.3923
Ni: 0.3923 0.3923 0.3923

## Properties
crystal system: cubic
energy of formation: -214 meV per atom
raw total energy: -4.428 eV per atom


A plane-wave DFT calculation with PBE was carried out for an optimized crystal structure of Mg6VNi.

abc: 4.7954 6.1035 10.4343
angles: 90.00 90.00 90.00
Sites, in units of the cell vectors:
Mg: 0.5000 0.7636 0.9130
Mg: 0.0000 0.2413 0.5903
Mg: 0.5000 0.5000 0.6649
Mg: 0.0000 0.7413 0.0903
Mg: 0.5000 0.2636 0.4130
Mg: 0.0000 0.7587 0.5903
Mg: 0.0000 0.0000 0.3364
Mg: 0.5000 0.7364 0.4130
Mg: 0.0000 0.5000 0.8364
Mg: 0.5000 0.2364 0.9130
Mg: 0.0000 0.2587 0.0903
Mg: 0.5000 0.0000 0.1649
V: 0.5000 0.0000 0.6731
V: 0.5000 0.5000 0.1731
Ni: 0.0000 0.0000 0.8192
Ni: 0.0000 0.5000 0.3192

## Properties
energy of formation: 180 meV per atom
raw total energy: -2.879 eV per atom


A plane-wave DFT calculation with PBE was carried out for an optimized crystal structure of Mg6VNi.

abc: 4.8061 6.0579 10.4671
angles: 90.00 90.00 90.00
Sites, in units of the cell vectors:
Mg: 0.5000 0.7482 0.5831
Mg: 0.0000 0.5000 0.1752
Mg: 0.5000 0.7518 0.0831
Mg: 0.0000 0.0000 0.6752
Mg: 0.5000 0.2518 0.5831
Mg: 0.0000 0.5000 0.6722
Mg: 0.0000 0.7543 0.9106
Mg: 0.0000 0.7457 0.4106
Mg: 0.0000 0.0000 0.1722
Mg: 0.0000 0.2543 0.4106
Mg: 0.0000 0.2457 0.9106
Mg: 0.5000 0.2482 0.0831
V: 0.5000 0.5000 0.8327
V: 0.5000 0.0000 0.3327
Ni: 0.5000 0.5000 0.3325
Ni: 0.5000 0.0000 0.8325

## Properties
energy of formation: 179 meV per atom
raw total energy: -2.879 eV per atom


- Among the records above, which one has the highest raw total energy?
  number 1